The following is a DFT calculation (r²SCAN) of a relaxed structure of Th11Ru12C18.

Results
calculated formation energy = -0.39 eV/atom
VASP energy = -31.916 eV/atom
space-group type = No. 217

Unit cell a=9.3564 b=9.3564 c=9.3564 alpha=109.47 beta=109.47 gamma=109.47
With the nearest neighbours (Å) after each atom.
Fractional coordinates of all 41 atoms:
Th 0.0000 0.0000 0.0000  12 Ru 3.32
Th 0.0000 0.0000 0.4053  6 C 2.74-2.86
Th 0.0000 0.4053 0.0000  6 C 2.74-2.86
Th 0.2500 0.5000 0.7500  8 C 2.63-2.79
Th 0.2500 0.7500 0.5000  8 C 2.63-2.79
Th 0.4053 0.0000 0.0000  6 C 2.74-2.86
Th 0.5000 0.2500 0.7500  8 C 2.63-2.79
Th 0.5000 0.7500 0.2500  8 C 2.63-2.79
Th 0.5947 0.5947 0.5947  6 C 2.74-2.86
Th 0.7500 0.2500 0.5000  8 C 2.63-2.79
Th 0.7500 0.5000 0.2500  8 C 2.63-2.79
Ru 0.0000 0.6318 0.8014  3 C 1.96-2.08
Ru 0.0000 0.8014 0.6318  3 C 1.96-2.08
Ru 0.1696 0.3682 0.3682  3 C 1.96-2.08
Ru 0.1986 0.1986 0.8304  3 C 1.96-2.08
Ru 0.1986 0.8304 0.1986  3 C 1.96-2.08
Ru 0.3682 0.1696 0.3682  3 C 1.96-2.08
Ru 0.3682 0.3682 0.1696  3 C 1.96-2.08
Ru 0.6318 0.0000 0.8014  3 C 1.96-2.08
Ru 0.6318 0.8014 0.0000  3 C 1.96-2.08
Ru 0.8014 0.0000 0.6318  3 C 1.96-2.08
Ru 0.8014 0.6318 0.0000  3 C 1.96-2.08
Ru 0.8304 0.1986 0.1986  3 C 1.96-2.08
C 0.0000 0.2129 0.6897  2 Ru 1.96
C 0.0000 0.4345 0.4345  1 C 1.42
C 0.0000 0.5655 0.5655  1 C 1.42
C 0.0000 0.6897 0.2129  2 Ru 1.96
C 0.2129 0.0000 0.6897  2 Ru 1.96
C 0.2129 0.6897 0.0000  2 Ru 1.96
C 0.3103 0.3103 0.5232  2 Ru 1.96
C 0.3103 0.5232 0.3103  2 Ru 1.96
C 0.4345 0.0000 0.4345  1 C 1.42
C 0.4345 0.4345 0.0000  1 C 1.42
C 0.4768 0.7871 0.7871  2 Ru 1.96
C 0.5232 0.3103 0.3103  2 Ru 1.96
C 0.5655 0.0000 0.5655  1 C 1.42
C 0.5655 0.5655 0.0000  1 C 1.42
C 0.6897 0.0000 0.2129  2 Ru 1.96
C 0.6897 0.2129 0.0000  2 Ru 1.96
C 0.7871 0.4768 0.7871  2 Ru 1.96
C 0.7871 0.7871 0.4768  2 Ru 1.96